Record 1
Density functional theory data (PBE with a Hubbard U) for a geometry-optimized Mg2SbWO6 structure.

Cell lengths 5.460, 5.551, 9.691 Å; angles 90.00, 124.12, 90.00 degrees
Fractional coordinates of all 20 atoms:
1 Mg 0.248 0.021 0.226
2 Mg 0.248 0.479 0.726
3 Mg 0.752 0.521 0.274
4 Mg 0.752 0.979 0.774
5 Sb 0.000 0.000 0.500
6 Sb 0.000 0.500 0.000
7 W 0.500 0.000 0.000
8 W 0.500 0.500 0.500
9 O 0.132 0.147 0.956
10 O 0.132 0.353 0.456
11 O 0.256 0.697 0.901
12 O 0.256 0.803 0.401
13 O 0.402 0.126 0.773
14 O 0.402 0.374 0.273
15 O 0.598 0.626 0.727
16 O 0.598 0.874 0.227
17 O 0.744 0.197 0.599
18 O 0.744 0.303 0.099
19 O 0.868 0.647 0.544
20 O 0.868 0.853 0.044

---

Record 2
Density functional theory data (PBE with a Hubbard U) for a geometry-optimized KVP2O7 structure.

Cell lengths 7.502, 10.259, 8.339 Å; angles 90.00, 106.88, 90.00 degrees
Fractional coordinates of all 44 atoms:
1 K 0.176 0.177 0.059
2 K 0.176 0.323 0.559
3 K 0.824 0.677 0.441
4 K 0.824 0.823 0.941
5 V 0.237 0.600 0.260
6 V 0.237 0.900 0.760
7 V 0.763 0.100 0.240
8 V 0.763 0.400 0.740
9 P 0.132 0.599 0.829
10 P 0.132 0.901 0.329
11 P 0.441 0.636 0.692
12 P 0.441 0.864 0.192
13 P 0.559 0.136 0.808
14 P 0.559 0.364 0.308
15 P 0.868 0.099 0.671
16 P 0.868 0.401 0.171
17 O 0.001 0.502 0.279
18 O 0.001 0.998 0.779
19 O 0.080 0.736 0.753
20 O 0.080 0.764 0.253
21 O 0.141 0.594 0.012
22 O 0.141 0.906 0.512
23 O 0.320 0.608 0.514
24 O 0.320 0.892 0.014
25 O 0.337 0.562 0.814
26 O 0.337 0.938 0.314
27 O 0.364 0.076 0.765
28 O 0.364 0.424 0.265
29 O 0.455 0.719 0.241
30 O 0.455 0.781 0.741
31 O 0.545 0.219 0.259
32 O 0.545 0.281 0.759
33 O 0.636 0.576 0.735
34 O 0.636 0.924 0.235
35 O 0.663 0.062 0.686
36 O 0.663 0.438 0.186
37 O 0.680 0.108 0.986
38 O 0.680 0.392 0.486
39 O 0.859 0.094 0.488
40 O 0.859 0.406 0.988
41 O 0.920 0.236 0.747
42 O 0.920 0.264 0.247
43 O 0.999 0.002 0.221
44 O 0.999 0.498 0.721

---

| no. | magnetic moment (μB/f.u.) | density (kg/m³) | formation enthalpy at 0 K (eV/atom) |
| --- | --- | --- | --- |
| 1 | 1.00 | 6148 | -2.2855 |
| 2 | 2.00 | 2855 | -2.7439 |